Material: Li2MnBr4
Method: DFT, PBE-GGA
State: optimized geometry

Lattice parameters (Å, degrees): 6.7351 6.7351 6.7351 131.61 131.61 70.84
With the nearest neighbours (Å) after each atom.
Atoms (fractional coordinates):
Li 0.2500 0.7500 0.5000  6 Br 2.74-2.76
Li 0.7500 0.2500 0.5000  6 Br 2.74-2.76
Br 0.0000 0.5000 0.5000  2 Li 2.74, 2 Mn 2.76
Br 0.5000 0.0000 0.5000  2 Li 2.74, 2 Mn 2.76
Br 0.2626 0.2626 0.0000  1 Mn 2.61, 4 Li 2.76
Br 0.7374 0.7374 0.0000  1 Mn 2.61, 4 Li 2.76
Mn 0.5000 0.5000 0.0000  6 Br 2.61-2.76

calculated formation energy = -10.48 eV/f.u.
symmetry = I4/mmm (139)
total magnetic moment = 5.000 μB/cell
energy relative to the lowest polymorph listed for this composition = 0.0383 eV/atom